(1)
Density functional theory data (PBE) for a relaxed Zn2Si5N8 crystal.

Symmetry = Pbca
ΔH_f (0 K) = -94.3 kJ per mole of atoms
Total moment = 0.00 μB/cell

a = 9.833 Å, b = 13.488 Å, c = 10.717 Å
α = 90.00°, β = 90.00°, γ = 90.00°
Positions (direct):
1 Zn 0.093 0.043 0.151
2 Zn 0.093 0.457 0.651
3 Zn 0.134 0.019 0.421
4 Zn 0.134 0.481 0.921
5 Zn 0.366 0.519 0.421
6 Zn 0.366 0.981 0.921
7 Zn 0.407 0.543 0.151
8 Zn 0.407 0.957 0.651
9 Zn 0.593 0.043 0.349
10 Zn 0.593 0.457 0.849
11 Zn 0.634 0.019 0.079
12 Zn 0.634 0.481 0.579
13 Zn 0.866 0.519 0.079
14 Zn 0.866 0.981 0.579
15 Zn 0.907 0.543 0.349
16 Zn 0.907 0.957 0.849
17 Si 0.005 0.714 0.016
18 Si 0.005 0.786 0.516
19 Si 0.020 0.163 0.754
20 Si 0.020 0.337 0.254
21 Si 0.145 0.538 0.175
22 Si 0.145 0.962 0.675
23 Si 0.236 0.661 0.602
24 Si 0.236 0.839 0.102
25 Si 0.239 0.721 0.337
26 Si 0.239 0.779 0.837
27 Si 0.261 0.221 0.337
28 Si 0.261 0.279 0.837
29 Si 0.264 0.161 0.602
30 Si 0.264 0.339 0.102
31 Si 0.355 0.038 0.175
32 Si 0.355 0.462 0.675
33 Si 0.480 0.663 0.754
34 Si 0.480 0.837 0.254
35 Si 0.495 0.214 0.016
36 Si 0.495 0.286 0.516
37 Si 0.505 0.714 0.484
38 Si 0.505 0.786 0.984
39 Si 0.520 0.163 0.746
40 Si 0.520 0.337 0.246
41 Si 0.645 0.538 0.325
42 Si 0.645 0.962 0.825
43 Si 0.736 0.661 0.898
44 Si 0.736 0.839 0.398
45 Si 0.739 0.721 0.163
46 Si 0.739 0.779 0.663
47 Si 0.761 0.221 0.163
48 Si 0.761 0.279 0.663
49 Si 0.764 0.161 0.898
50 Si 0.764 0.339 0.398
51 Si 0.855 0.038 0.325
52 Si 0.855 0.462 0.825
53 Si 0.980 0.663 0.746
54 Si 0.980 0.837 0.246
55 Si 0.995 0.214 0.484
56 Si 0.995 0.286 0.984
57 N 0.037 0.036 0.761
58 N 0.037 0.464 0.261
59 N 0.049 0.597 0.061
60 N 0.049 0.903 0.561
61 N 0.097 0.205 0.617
62 N 0.097 0.295 0.117
63 N 0.100 0.229 0.873
64 N 0.100 0.271 0.373
65 N 0.147 0.712 0.477
66 N 0.147 0.788 0.977
67 N 0.153 0.696 0.740
68 N 0.153 0.804 0.240
69 N 0.240 0.103 0.270
70 N 0.240 0.397 0.770
71 N 0.246 0.535 0.579
72 N 0.246 0.965 0.079
73 N 0.254 0.035 0.579
74 N 0.254 0.465 0.079
75 N 0.260 0.603 0.270
76 N 0.260 0.897 0.770
77 N 0.347 0.196 0.740
78 N 0.347 0.304 0.240
79 N 0.353 0.212 0.477
80 N 0.353 0.288 0.977
81 N 0.400 0.729 0.873
82 N 0.400 0.771 0.373
83 N 0.403 0.705 0.617
84 N 0.403 0.795 0.117
85 N 0.451 0.097 0.061
86 N 0.451 0.403 0.561
87 N 0.463 0.536 0.761
88 N 0.463 0.964 0.261
89 N 0.537 0.036 0.739
90 N 0.537 0.464 0.239
91 N 0.549 0.597 0.439
92 N 0.549 0.903 0.939
93 N 0.597 0.205 0.883
94 N 0.597 0.295 0.383
95 N 0.600 0.229 0.627
96 N 0.600 0.271 0.127
97 N 0.647 0.712 0.023
98 N 0.647 0.788 0.523
99 N 0.653 0.696 0.760
100 N 0.653 0.804 0.260
101 N 0.740 0.103 0.230
102 N 0.740 0.397 0.730
103 N 0.746 0.535 0.921
104 N 0.746 0.965 0.421
105 N 0.754 0.035 0.921
106 N 0.754 0.465 0.421
107 N 0.760 0.603 0.230
108 N 0.760 0.897 0.730
109 N 0.847 0.196 0.760
110 N 0.847 0.304 0.260
111 N 0.853 0.212 0.023
112 N 0.853 0.288 0.523
113 N 0.900 0.729 0.627
114 N 0.900 0.771 0.127
115 N 0.903 0.705 0.883
116 N 0.903 0.795 0.383
117 N 0.951 0.097 0.439
118 N 0.951 0.403 0.939
119 N 0.963 0.536 0.739
120 N 0.963 0.964 0.239

***

(2)
Density functional theory data (PBE) for a relaxed LiAg2F4 crystal.

ΔE to the lowest computed polymorph = 0.08 eV per formula unit
Symmetry = Cmce
ΔH_f (0 K) = -176.8 kJ per mole of atoms
Total moment = 0.08 μB/cell

a = 5.539 Å, b = 5.539 Å, c = 6.848 Å
α = 90.00°, β = 90.00°, γ = 76.34°
Positions (direct):
1 Li 0.000 0.000 0.000
2 Li 0.500 0.500 0.500
3 Ag 0.005 0.495 0.250
4 Ag 0.495 0.005 0.750
5 Ag 0.505 0.995 0.250
6 Ag 0.995 0.505 0.750
7 F 0.217 0.217 0.000
8 F 0.232 0.768 0.783
9 F 0.268 0.732 0.283
10 F 0.283 0.283 0.500
11 F 0.717 0.717 0.500
12 F 0.732 0.268 0.717
13 F 0.768 0.232 0.217
14 F 0.783 0.783 0.000